VASP calculation (PBE+U) on a relaxed Li4Co3O7 crystal.

Values from the calculation:
As for the crystal system: triclinic. The calculation puts the magnetic moment at 3.00 μB per formula unit. The calculation puts the total energy at -5.5108 eV per atom. As for the energy of formation from the pure elements: -1662.7 meV/atom. As for the energy above the most stable polymorph in this dataset: 0.048 eV per atom.

The structure in CIF format:
```
data_Li4Co3O7
_cell_length_a 2.986
_cell_length_b 5.072
_cell_length_c 16.978
_cell_angle_alpha 85.13
_cell_angle_beta 88.26
_cell_angle_gamma 75.40
_symmetry_space_group_name_H-M 'P 1'
_symmetry_Int_Tables_number 1
_symmetry_space_group_name_Hall 'P 1'
loop_
_atom_site_label
_atom_site_fract_x
_atom_site_fract_y
_atom_site_fract_z
_atom_site_occupancy
O1 0.732 0.092 0.182 1
O2 0.405 0.658 0.612 1
O3 0.856 0.785 0.954 1
O4 0.989 0.470 0.244 1
O5 0.404 0.617 0.110 1
O6 0.150 0.201 0.532 1
O7 0.671 0.058 0.677 1
O8 0.596 0.383 0.890 1
O9 0.595 0.342 0.388 1
O10 0.144 0.215 0.046 1
O11 0.011 0.530 0.756 1
O12 0.268 0.908 0.818 1
O13 0.850 0.799 0.468 1
O14 0.329 0.942 0.323 1
Li1 0.068 0.359 0.643 1
Li2 0.500 0.500 0.000 1
Li3 0.794 0.915 0.072 1
Li4 0.206 0.085 0.928 1
Li5 0.500 0.500 0.500 1
Li6 0.351 0.784 0.214 1
Li7 0.932 0.641 0.357 1
Li8 0.649 0.216 0.786 1
Co1 0.068 0.359 0.137 1
Co2 0.220 0.073 0.428 1
Co3 0.780 0.927 0.572 1
Co4 0.345 0.786 0.715 1
Co5 0.655 0.214 0.285 1
Co6 0.932 0.641 0.863 1
```